Entry 1:
# NaCl3

NaCl3 after structural relaxation (PBE, Materials Project).

Lattice parameters (Å, degrees): 5.527 5.527 5.527 90.00 90.00 90.00
Element x y z (fractional)
Cl  0.500  0.000  0.750
Cl  0.500  0.000  0.250
Cl  0.000  0.750  0.500
Cl  0.000  0.250  0.500
Cl  0.250  0.500  0.000
Cl  0.750  0.500  0.000
Na  0.500  0.500  0.500
Na  0.000  0.000  0.000

Summary:
energy above the most stable polymorph in this dataset	0.96	eV/f.u.
energy of formation from the pure elements	-406	kJ/mol of formula units
space group	Pm-3n, No. 223

---

Entry 2:
# Na2Cl

Na2Cl after structural relaxation (PBE, Materials Project).

Lattice parameters (Å, degrees): 3.556 3.556 12.593 90.00 90.00 90.00
Element x y z (fractional)
Cl  0.500  0.500  0.359
Cl  0.500  0.500  0.641
Na  0.000  0.000  0.227
Na  0.500  0.500  0.000
Na  0.000  0.000  0.773
Na  0.000  0.000  0.500

Summary:
energy above the most stable polymorph in this dataset	0.12	eV/f.u.
energy of formation from the pure elements	-365	kJ/mol of formula units
space group	P4/mmm, No. 123